Entry 1:
{
  "formula": "CsSb2F7",
  "functional": "PBE",
  "state": "optimized geometry",
  "cell": [[10.482, -3.297, 0.000], [10.482, 3.297, 0.000], [-0.436, 0.000, 6.308]],
  "species": ["Cs", "Cs", "Sb", "Sb", "Sb", "Sb", "F", "F", "F", "F", "F", "F", "F", "F", "F", "F", "F", "F", "F", "F"],
  "fractional_positions": [[0.232, 0.768, 0.750], [0.768, 0.232, 0.250], [0.087, 0.592, 0.212], [0.408, 0.913, 0.288], [0.592, 0.087, 0.712], [0.913, 0.408, 0.788], [0.000, 0.500, 0.000], [0.135, 0.172, 0.433], [0.140, 0.728, 0.293], [0.172, 0.135, 0.933], [0.270, 0.476, 0.970], [0.272, 0.860, 0.207], [0.476, 0.270, 0.470], [0.500, 0.000, 0.500], [0.524, 0.730, 0.530], [0.728, 0.140, 0.793], [0.730, 0.524, 0.030], [0.828, 0.865, 0.067], [0.860, 0.272, 0.707], [0.865, 0.828, 0.567]],
  "relative_energy_ev_per_atom": 0.0123,
  "formation_enthalpy_0k_kj_per_mol_fu": -2697.0,
  "total_energy_ha_per_atom": -0.174
}

Entry 2:
{
  "formula": "La11In9Ni4",
  "functional": "PBE",
  "state": "optimized geometry",
  "cell": [[7.560, -11.314, 0.000], [7.560, 11.314, 0.000], [0.000, 0.000, 3.860]],
  "species": ["La", "La", "La", "La", "La", "La", "La", "La", "La", "La", "La", "In", "In", "In", "In", "In", "In", "In", "In", "In", "Ni", "Ni", "Ni", "Ni"],
  "fractional_positions": [[0.000, 0.000, 0.000], [0.079, 0.418, 0.000], [0.162, 0.838, 0.000], [0.313, 0.313, 0.000], [0.376, 0.624, 0.000], [0.418, 0.079, 0.000], [0.582, 0.921, 0.000], [0.624, 0.376, 0.000], [0.687, 0.687, 0.000], [0.838, 0.162, 0.000], [0.921, 0.582, 0.000], [0.081, 0.222, 0.500], [0.165, 0.633, 0.500], [0.222, 0.081, 0.500], [0.367, 0.835, 0.500], [0.500, 0.500, 0.500], [0.633, 0.165, 0.500], [0.778, 0.919, 0.500], [0.835, 0.367, 0.500], [0.919, 0.778, 0.500], [0.242, 0.447, 0.500], [0.447, 0.242, 0.500], [0.553, 0.758, 0.500], [0.758, 0.553, 0.500]],
  "formation_enthalpy_0k_kj_per_mol_fu": -1157.4,
  "total_energy_ha_per_atom": -0.175
}

Entry 3:
{
  "formula": "Zn2CuIr",
  "functional": "PBE",
  "state": "optimized geometry",
  "cell": [[0.000, 3.010, 3.010], [3.010, 0.000, 3.010], [3.010, 3.010, 0.000]],
  "species": ["Zn", "Zn", "Cu", "Ir"],
  "fractional_positions": [[0.250, 0.250, 0.250], [0.750, 0.750, 0.750], [0.000, 0.000, 0.000], [0.500, 0.500, 0.500]],
  "formation_enthalpy_0k_kj_per_mol_fu": -63.2,
  "total_energy_ha_per_atom": -0.148
}

Entry 4:
{
  "formula": "AgAsS2",
  "functional": "PBE",
  "state": "optimized geometry",
  "cell": [[6.990, 4.036, 3.263], [-6.990, 4.036, 3.263], [0.000, -8.072, 3.263]],
  "species": ["Ag", "Ag", "Ag", "Ag", "Ag", "Ag", "As", "As", "As", "As", "As", "As", "S", "S", "S", "S", "S", "S", "S", "S", "S", "S", "S", "S"],
  "fractional_positions": [[0.097, 0.678, 0.270], [0.270, 0.097, 0.678], [0.322, 0.730, 0.903], [0.678, 0.270, 0.097], [0.730, 0.903, 0.322], [0.903, 0.322, 0.730], [0.129, 0.341, 0.417], [0.341, 0.417, 0.129], [0.417, 0.129, 0.341], [0.583, 0.871, 0.659], [0.659, 0.583, 0.871], [0.871, 0.659, 0.583], [0.065, 0.348, 0.142], [0.142, 0.065, 0.348], [0.152, 0.758, 0.615], [0.242, 0.385, 0.848], [0.348, 0.142, 0.065], [0.385, 0.848, 0.242], [0.615, 0.152, 0.758], [0.652, 0.858, 0.935], [0.758, 0.615, 0.152], [0.848, 0.242, 0.385], [0.858, 0.935, 0.652], [0.935, 0.652, 0.858]],
  "formation_enthalpy_0k_kj_per_mol_fu": -139.6,
  "total_energy_ha_per_atom": -0.149
}

Entry 5:
{
  "formula": "CaNbO2",
  "functional": "PBE",
  "state": "optimized geometry",
  "cell": [[-3.093, 3.093, 5.816], [3.093, -3.093, 5.816], [3.093, 3.093, -5.816]],
  "species": ["Ca", "Ca", "Ca", "Ca", "Nb", "Nb", "Nb", "Nb", "O", "O", "O", "O", "O", "O", "O", "O"],
  "fractional_positions": [[0.000, 0.000, 0.000], [0.000, 0.000, 0.500], [0.000, 0.500, 0.000], [0.500, 0.000, 0.500], [0.000, 0.500, 0.500], [0.500, 0.000, 0.000], [0.500, 0.500, 0.000], [0.500, 0.500, 0.500], [0.202, 0.229, 0.526], [0.202, 0.676, 0.974], [0.229, 0.202, 0.026], [0.324, 0.798, 0.526], [0.676, 0.202, 0.474], [0.771, 0.798, 0.974], [0.798, 0.324, 0.026], [0.798, 0.771, 0.474]],
  "formation_enthalpy_0k_kj_per_mol_fu": -913.5,
  "total_energy_ha_per_atom": -0.277
}

Entry 6:
{
  "formula": "CsTi2I7",
  "functional": "PBE",
  "state": "optimized geometry",
  "cell": [[12.625, 0.000, 0.000], [0.000, 12.625, 0.000], [0.000, 0.000, 12.625]],
  "species": ["Cs", "Cs", "Cs", "Cs", "Ti", "Ti", "Ti", "Ti", "Ti", "Ti", "Ti", "Ti", "I", "I", "I", "I", "I", "I", "I", "I", "I", "I", "I", "I", "I", "I", "I", "I", "I", "I", "I", "I", "I", "I", "I", "I", "I", "I", "I", "I"],
  "fractional_positions": [[0.000, 0.000, 0.000], [0.000, 0.500, 0.500], [0.500, 0.000, 0.500], [0.500, 0.500, 0.000], [0.122, 0.622, 0.878], [0.122, 0.878, 0.378], [0.378, 0.122, 0.878], [0.378, 0.378, 0.378], [0.622, 0.622, 0.622], [0.622, 0.878, 0.122], [0.878, 0.122, 0.622], [0.878, 0.378, 0.122], [0.000, 0.000, 0.500], [0.000, 0.244, 0.737], [0.000, 0.256, 0.237], [0.000, 0.500, 0.000], [0.000, 0.744, 0.763], [0.000, 0.756, 0.263], [0.237, 0.000, 0.256], [0.237, 0.500, 0.756], [0.244, 0.737, 0.000], [0.244, 0.763, 0.500], [0.256, 0.237, 0.000], [0.256, 0.263, 0.500], [0.263, 0.000, 0.756], [0.263, 0.500, 0.256], [0.500, 0.000, 0.000], [0.500, 0.244, 0.763], [0.500, 0.256, 0.263], [0.500, 0.500, 0.500], [0.500, 0.744, 0.737], [0.500, 0.756, 0.237], [0.737, 0.000, 0.244], [0.737, 0.500, 0.744], [0.744, 0.737, 0.500], [0.744, 0.763, 0.000], [0.756, 0.237, 0.500], [0.756, 0.263, 0.000], [0.763, 0.000, 0.744], [0.763, 0.500, 0.244]],
  "formation_enthalpy_0k_kj_per_mol_fu": -1068.1,
  "total_energy_ha_per_atom": -0.131
}

Entry 7:
{
  "formula": "LiB13C2",
  "functional": "PBE",
  "state": "optimized geometry",
  "cell": [[-2.838, 5.420, 4.021], [2.838, -5.420, 4.021], [2.838, 5.420, -4.021]],
  "species": ["Li", "Li", "B", "B", "B", "B", "B", "B", "B", "B", "B", "B", "B", "B", "B", "B", "B", "B", "B", "B", "B", "B", "B", "B", "B", "B", "B", "B", "C", "C", "C", "C"],
  "fractional_positions": [[0.438, 0.188, 0.250], [0.562, 0.812, 0.750], [0.024, 0.204, 0.322], [0.024, 0.701, 0.819], [0.108, 0.682, 0.425], [0.109, 0.859, 0.250], [0.183, 0.517, 0.666], [0.224, 0.491, 0.404], [0.224, 0.819, 0.732], [0.243, 0.318, 0.925], [0.351, 0.517, 0.834], [0.382, 0.204, 0.681], [0.382, 0.701, 0.178], [0.413, 0.181, 0.904], [0.413, 0.509, 0.232], [0.587, 0.491, 0.768], [0.587, 0.819, 0.096], [0.618, 0.299, 0.822], [0.618, 0.796, 0.319], [0.649, 0.483, 0.166], [0.757, 0.682, 0.075], [0.776, 0.181, 0.268], [0.776, 0.509, 0.596], [0.817, 0.483, 0.334], [0.891, 0.141, 0.750], [0.892, 0.318, 0.575], [0.976, 0.299, 0.181], [0.976, 0.796, 0.678], [0.007, 0.126, 0.881], [0.255, 0.874, 0.381], [0.745, 0.126, 0.619], [0.993, 0.874, 0.119]],
  "relative_energy_ev_per_atom": 0.0116,
  "formation_enthalpy_0k_kj_per_mol_fu": -235.5,
  "total_energy_ha_per_atom": -0.252
}

Entry 8:
{
  "formula": "K2TlAsCl6",
  "functional": "PBE",
  "state": "optimized geometry",
  "cell": [[0.000, 5.504, 5.504], [5.504, 0.000, 5.504], [5.504, 5.504, 0.000]],
  "species": ["K", "K", "Tl", "As", "Cl", "Cl", "Cl", "Cl", "Cl", "Cl"],
  "fractional_positions": [[0.250, 0.250, 0.250], [0.750, 0.750, 0.750], [0.000, 0.000, 0.000], [0.500, 0.500, 0.500], [0.272, 0.272, 0.728], [0.272, 0.728, 0.272], [0.272, 0.728, 0.728], [0.728, 0.272, 0.272], [0.728, 0.272, 0.728], [0.728, 0.728, 0.272]],
  "formation_enthalpy_0k_kj_per_mol_fu": -1527.2,
  "total_energy_ha_per_atom": -0.119
}